Sr10Al6O19 | Materials Project | PBE-GGA | relaxed; size of the total moment = 0.0 μB/f.u.; MP2020-corrected energy = -7.1249 eV per atom; theoretical density = 4.17 g cm⁻³; space group = P1
1.0
7.9184 0.0000 0.0000
-0.0086 15.9069 0.0000
-3.9436 -4.1128 16.9640
O Sr Al
76 40 24
direct
0.4874 0.9909 0.3350 O
0.7750 0.2860 0.8715 O
0.9792 0.9620 0.8892 O
0.1611 0.3325 0.8744 O
0.0906 0.5384 0.1104 O
0.7631 0.3663 0.5977 O
0.2248 0.7138 0.1291 O
0.4341 0.6709 0.8364 O
0.5018 0.3757 0.0106 O
0.6539 0.8483 0.3775 O
0.3065 0.9316 0.1261 O
0.0205 0.0376 0.1128 O
0.8183 0.4338 0.1234 O
0.8376 0.6691 0.1248 O
0.1558 0.5089 0.6653 O
0.3657 0.9862 0.8541 O
0.4809 0.4853 0.8522 O
0.0915 0.3604 0.0470 O
0.0777 0.9239 0.2250 O
0.1440 0.1662 0.2533 O
0.2387 0.8193 0.3710 O
0.2697 0.9851 0.5107 O
0.9071 0.6395 0.9529 O
0.1790 0.5684 0.8745 O
0.8823 0.9720 0.3566 O
0.7593 0.1801 0.6285 O
0.8883 0.3330 0.7464 O
0.2347 0.6337 0.4023 O
0.7210 0.3485 0.3776 O
0.2084 0.7912 0.5459 O
0.8397 0.8665 0.5994 O
0.3365 0.2920 0.5466 O
0.5270 0.5290 0.6433 O
0.0430 0.1390 0.9524 O
0.6867 0.1818 0.2753 O
0.4121 0.3169 0.7259 O
0.5526 0.7713 0.6270 O
0.2864 0.1682 0.1245 O
0.1447 0.4262 0.2248 O
0.1071 0.6657 0.2532 O
0.8674 0.6804 0.6297 O
0.7876 0.2106 0.4552 O
0.5877 0.6814 0.2747 O
0.5154 0.5149 0.1468 O
0.2760 0.6517 0.6213 O
0.5974 0.8294 0.1628 O
0.1286 0.3193 0.3708 O
0.5088 0.0072 0.6642 O
0.7562 0.5158 0.4887 O
0.9072 0.4623 0.8882 O
0.5668 0.3300 0.1640 O
0.4731 0.4720 0.3553 O
0.9246 0.7294 0.3730 O
0.4017 0.1710 0.8365 O
0.6922 0.0673 0.8729 O
0.7294 0.0146 0.4892 O
0.0940 0.7859 0.8711 O
0.0737 0.2704 0.6276 O
0.8523 0.5746 0.7745 O
0.5047 0.8781 0.0100 O
0.4955 0.6246 0.9892 O
0.9208 0.0738 0.7741 O
0.1614 0.1344 0.4023 O
0.9040 0.2136 0.1291 O
0.3450 0.1515 0.6215 O
0.6631 0.7109 0.4553 O
0.9560 0.8607 0.0461 O
0.4440 0.2302 0.3720 O
0.8468 0.4906 0.3354 O
0.6310 0.0152 0.1467 O
0.7118 0.8325 0.8758 O
0.8539 0.8337 0.7472 O
0.2437 0.4854 0.5106 O
0.4974 0.1243 0.9899 O
0.1152 0.0292 0.6429 O
0.3131 0.8179 0.7257 O
0.2447 0.0260 0.0000 Sr
0.3746 0.8286 0.2518 Sr
0.7585 0.5283 0.0023 Sr
0.8369 0.5226 0.6261 Sr
0.6246 0.1727 0.7490 Sr
0.1068 0.9370 0.7382 Sr
0.8409 0.2499 0.0001 Sr
0.8913 0.0625 0.2603 Sr
0.9998 0.8820 0.4982 Sr
0.4976 0.3829 0.4991 Sr
0.8746 0.3284 0.2527 Sr
0.2431 0.4729 0.9982 Sr
0.1572 0.7501 0.0001 Sr
0.6296 0.4376 0.7393 Sr
0.5220 0.6680 0.1283 Sr
0.7887 0.0223 0.6269 Sr
0.6245 0.6769 0.7489 Sr
0.3667 0.5625 0.2593 Sr
0.3752 0.3235 0.2506 Sr
0.5015 0.6183 0.5016 Sr
0.4778 0.3330 0.8719 Sr
0.7162 0.7508 0.9982 Sr
0.9963 0.1182 0.5025 Sr
0.1253 0.1762 0.7492 Sr
0.8727 0.8225 0.2506 Sr
0.4170 0.0746 0.2395 Sr
0.3916 0.8323 0.8711 Sr
0.5229 0.1505 0.5005 Sr
0.9751 0.6504 0.4996 Sr
0.7559 0.9744 0.9994 Sr
0.1237 0.6715 0.7485 Sr
0.2825 0.2497 0.0005 Sr
0.0235 0.3475 0.4995 Sr
0.6061 0.1683 0.1292 Sr
0.4737 0.8492 0.5006 Sr
0.8206 0.5750 0.2402 Sr
0.5812 0.9250 0.7609 Sr
0.1772 0.4242 0.7600 Sr
0.2076 0.9773 0.3735 Sr
0.1639 0.4772 0.3733 Sr
0.8554 0.2846 0.6422 Al
0.9355 0.3488 0.8520 Al
0.2993 0.5383 0.6118 Al
0.0626 0.6518 0.1476 Al
0.5208 0.9111 0.1131 Al
0.3123 0.0379 0.6117 Al
0.6856 0.9621 0.3879 Al
0.0839 0.9325 0.1288 Al
0.5920 0.4110 0.1131 Al
0.0833 0.1515 0.1479 Al
0.6709 0.2376 0.3708 Al
0.9539 0.5672 0.8711 Al
0.4068 0.5897 0.8866 Al
0.9146 0.8487 0.8526 Al
0.7858 0.7849 0.6427 Al
0.6960 0.7377 0.3704 Al
0.0436 0.4336 0.1282 Al
0.1419 0.7150 0.3574 Al
0.6999 0.4622 0.3878 Al
0.2121 0.2154 0.3574 Al
0.4784 0.0898 0.8867 Al
0.3266 0.7628 0.6296 Al
0.9150 0.0663 0.8707 Al
0.3023 0.2624 0.6302 Al